[1]
Entry from Materials Project: a relaxed HfO2 crystal (PBE-GGA).

```
data_HfO2
_chemical_formula_sum 'Hf34 O68'
_cell_length_a 10.9949
_cell_length_b 10.8693
_cell_length_c 11.1355
_cell_angle_alpha 92.30
_cell_angle_beta 90.80
_cell_angle_gamma 93.76
_symmetry_space_group_name_H-M 'P 1'
_symmetry_Int_Tables_number 1
loop_
_symmetry_equiv_pos_as_xyz
'x,y,z'
loop_
_atom_site_label
_atom_site_type_symbol
_atom_site_fract_x
_atom_site_fract_y
_atom_site_fract_z
Hf1 Hf 0.6491 0.5050 0.0108
Hf2 Hf 0.3976 0.3988 0.0443
Hf3 Hf 0.6425 0.7428 0.4896
Hf4 Hf 0.1583 0.5322 0.4065
Hf5 Hf 0.5486 0.0173 0.1509
Hf6 Hf 0.6591 0.6851 0.7555
Hf7 Hf 0.5002 0.9595 0.6587
Hf8 Hf 0.4096 0.6986 0.9060
Hf9 Hf 0.9070 0.4897 0.8743
Hf10 Hf 0.1367 0.3283 0.6259
Hf11 Hf 0.0131 0.0291 0.1147
Hf12 Hf 0.0718 0.8090 0.3113
Hf13 Hf 0.8613 0.5616 0.2868
Hf14 Hf 0.4166 0.2201 0.6056
Hf15 Hf 0.9863 0.2856 0.2886
Hf16 Hf 0.2669 0.2156 0.2952
Hf17 Hf 0.2854 0.9152 0.1346
Hf18 Hf 0.6939 0.4431 0.5433
Hf19 Hf 0.1190 0.6346 0.0714
Hf20 Hf 0.3756 0.7533 0.3547
Hf21 Hf 0.6607 0.7715 0.2173
Hf22 Hf 0.6179 0.2298 0.8167
Hf23 Hf 0.5460 0.3347 0.3155
Hf24 Hf 0.2027 0.9866 0.6399
Hf25 Hf 0.9781 0.8444 0.8433
Hf26 Hf 0.7207 0.9410 0.9091
Hf27 Hf 0.6953 0.0964 0.4241
Hf28 Hf 0.3869 0.5638 0.6447
Hf29 Hf 0.9512 0.6179 0.5916
Hf30 Hf 0.9668 0.0439 0.4509
Hf31 Hf 0.7470 0.2571 0.1145
Hf32 Hf 0.1222 0.3238 0.9902
Hf33 Hf 0.3003 0.0721 0.8928
Hf34 Hf 0.9481 0.1612 0.7822
O1 O 0.2455 0.4909 0.0187
O2 O 0.3746 0.3538 0.2171
O3 O 0.1055 0.8502 0.1330
O4 O 0.3713 0.0845 0.2250
O5 O 0.8744 0.9951 0.7931
O6 O 0.5806 0.3306 0.6678
O7 O 0.4821 0.5787 0.0337
O8 O 0.8785 0.4847 0.6974
O9 O 0.1246 0.9914 0.8097
O10 O 0.0340 0.6702 0.4313
O11 O 0.8970 0.1679 0.1580
O12 O 0.4498 0.8457 0.1922
O13 O 0.1362 0.2804 0.1662
O14 O 0.6417 0.9473 0.3073
O15 O 0.8710 0.1879 0.3982
O16 O 0.3045 0.6693 0.7581
O17 O 0.7317 0.6119 0.1463
O18 O 0.6271 0.0366 0.7917
O19 O 0.3400 0.9319 0.7581
O20 O 0.1886 0.0437 0.0446
O21 O 0.3219 0.3880 0.6424
O22 O 0.1030 0.5081 0.5854
O23 O 0.4429 0.1546 0.7769
O24 O 0.0932 0.9257 0.5001
O25 O 0.6604 0.1154 0.0126
O26 O 0.7986 0.2447 0.7809
O27 O 0.0157 0.4647 0.0254
O28 O 0.8038 0.9794 0.4984
O29 O 0.9823 0.6699 0.1945
O30 O 0.2330 0.1754 0.6737
O31 O 0.4145 0.9979 0.0071
O32 O 0.7980 0.7877 0.8408
O33 O 0.9044 0.9334 0.0067
O34 O 0.8227 0.3784 0.2398
O35 O 0.0129 0.1713 0.6055
O36 O 0.8511 0.4980 0.4595
O37 O 0.2719 0.7506 0.0172
O38 O 0.0979 0.1292 0.3243
O39 O 0.5360 0.3555 0.9261
O40 O 0.1607 0.3387 0.4292
O41 O 0.3553 0.0366 0.5558
O42 O 0.2191 0.6453 0.2634
O43 O 0.7437 0.5677 0.8723
O44 O 0.0080 0.6658 0.9202
O45 O 0.4657 0.8271 0.5032
O46 O 0.4047 0.2622 0.4244
O47 O 0.7849 0.3774 0.9835
O48 O 0.6659 0.2840 0.4510
O49 O 0.6309 0.8347 0.6516
O50 O 0.6629 0.8881 0.0781
O51 O 0.2503 0.8797 0.3184
O52 O 0.5624 0.8025 0.8725
O53 O 0.2929 0.2582 0.9532
O54 O 0.7730 0.6693 0.6005
O55 O 0.3250 0.6094 0.4743
O56 O 0.5411 0.6917 0.3270
O57 O 0.0146 0.7667 0.6883
O58 O 0.6278 0.1717 0.2479
O59 O 0.0268 0.4686 0.2902
O60 O 0.0619 0.3485 0.7995
O61 O 0.0097 0.1726 0.9556
O62 O 0.6102 0.4888 0.3928
O63 O 0.5654 0.5933 0.5882
O64 O 0.5032 0.5757 0.7988
O65 O 0.5942 0.3782 0.1420
O66 O 0.5741 0.0956 0.5585
O67 O 0.7754 0.7292 0.3543
O68 O 0.9555 0.9411 0.2853
```

Results
Space group ... P1 (1)
E (MP2020) ... -10.41 eV/atom
Uncorrected energy ... -0.3657 hartree per atom
Magnetic moment ... 0.00 μB per cell
Energy of formation from the pure elements ... -3790 meV/atom



[2]
Entry from Materials Project: a relaxed Hf2Co7 crystal (PBE-GGA).

```
data_Hf2Co7
_chemical_formula_sum 'Hf2 Co7'
_cell_length_a 4.6688
_cell_length_b 4.7331
_cell_length_c 6.2633
_cell_angle_alpha 82.17
_cell_angle_beta 73.96
_cell_angle_gamma 60.45
_symmetry_space_group_name_H-M 'P 1'
_symmetry_Int_Tables_number 1
loop_
_symmetry_equiv_pos_as_xyz
'x,y,z'
loop_
_atom_site_label
_atom_site_type_symbol
_atom_site_fract_x
_atom_site_fract_y
_atom_site_fract_z
Hf1 Hf 0.1004 0.0000 0.2319
Hf2 Hf 0.8996 0.0000 0.7681
Co1 Co 0.5000 0.5000 0.5000
Co2 Co 0.0000 0.5000 0.5000
Co3 Co 0.5449 0.6639 0.8451
Co4 Co 0.2088 0.3361 0.8451
Co5 Co 0.4551 0.3361 0.1549
Co6 Co 0.7912 0.6639 0.1549
Co7 Co 0.5000 0.0000 0.5000
```

Results
Space group ... C2/m (12)
Uncorrected energy ... -0.2939 hartree per atom
Magnetic moment ... 7.56 μB per cell
Energy of formation from the pure elements ... -255 meV/atom



[3]
Entry from Materials Project: a relaxed SrSbF5 crystal (PBE-GGA).

```
data_SrSbF5
_chemical_formula_sum 'Sr4 Sb4 F20'
_cell_length_a 4.4710
_cell_length_b 8.9807
_cell_length_c 11.4055
_cell_angle_alpha 90.00
_cell_angle_beta 90.00
_cell_angle_gamma 90.00
_symmetry_space_group_name_H-M 'P 1'
_symmetry_Int_Tables_number 1
loop_
_symmetry_equiv_pos_as_xyz
'x,y,z'
loop_
_atom_site_label
_atom_site_type_symbol
_atom_site_fract_x
_atom_site_fract_y
_atom_site_fract_z
Sr1 Sr 0.0000 0.2500 0.0000
Sr2 Sr 0.0000 0.7500 0.5000
Sr3 Sr 0.0000 0.7500 0.0000
Sr4 Sr 0.0000 0.2500 0.5000
Sb1 Sb 0.3802 0.0570 0.2500
Sb2 Sb 0.3802 0.4430 0.7500
Sb3 Sb 0.6198 0.5570 0.2500
Sb4 Sb 0.6198 0.9430 0.7500
F1 F 0.0839 0.9868 0.3865
F2 F 0.0839 0.5132 0.6135
F3 F 0.9161 0.4868 0.1135
F4 F 0.9161 0.0132 0.8865
F5 F 0.9161 0.0132 0.6135
F6 F 0.9161 0.4868 0.3865
F7 F 0.0839 0.5132 0.8865
F8 F 0.0839 0.9868 0.1135
F9 F 0.0643 0.2143 0.2500
F10 F 0.0643 0.2857 0.7500
F11 F 0.9357 0.7143 0.2500
F12 F 0.9357 0.7857 0.7500
F13 F 0.4856 0.7029 0.1113
F14 F 0.4856 0.7971 0.8887
F15 F 0.5144 0.2029 0.3887
F16 F 0.5144 0.2971 0.6113
F17 F 0.5144 0.2971 0.8887
F18 F 0.5144 0.2029 0.1113
F19 F 0.4856 0.7971 0.6113
F20 F 0.4856 0.7029 0.3887
```

Results
Space group ... Pbcm (57)
E (MP2020) ... -5.56 eV/atom
Uncorrected energy ... -0.1923 hartree per atom
Energy of formation from the pure elements ... -3365 meV/atom



[4]
Entry from Materials Project: a relaxed LuInCu2 crystal (PBE-GGA).

```
data_LuInCu2
_chemical_formula_sum 'Lu1 In1 Cu2'
_cell_length_a 4.6318
_cell_length_b 4.6318
_cell_length_c 4.6318
_cell_angle_alpha 60.00
_cell_angle_beta 60.00
_cell_angle_gamma 60.00
_symmetry_space_group_name_H-M 'P 1'
_symmetry_Int_Tables_number 1
loop_
_symmetry_equiv_pos_as_xyz
'x,y,z'
loop_
_atom_site_label
_atom_site_type_symbol
_atom_site_fract_x
_atom_site_fract_y
_atom_site_fract_z
Lu1 Lu 0.5000 0.5000 0.5000
In1 In 0.0000 0.0000 0.0000
Cu1 Cu 0.7500 0.7500 0.7500
Cu2 Cu 0.2500 0.2500 0.2500
```

Results
Space group ... Fm-3m (225)
Uncorrected energy ... -0.1537 hartree per atom
Energy of formation from the pure elements ... -316 meV/atom



[5]
Entry from Materials Project: a relaxed RbNaMg14O15 crystal (PBE-GGA).

```
data_RbNaMg14O15
_chemical_formula_sum 'Rb1 Na1 Mg14 O15'
_cell_length_a 8.4940
_cell_length_b 8.8162
_cell_length_c 4.4192
_cell_angle_alpha 90.00
_cell_angle_beta 90.00
_cell_angle_gamma 90.00
_symmetry_space_group_name_H-M 'P 1'
_symmetry_Int_Tables_number 1
loop_
_symmetry_equiv_pos_as_xyz
'x,y,z'
loop_
_atom_site_label
_atom_site_type_symbol
_atom_site_fract_x
_atom_site_fract_y
_atom_site_fract_z
Rb1 Rb 0.4094 0.5000 0.0000
Na1 Na 0.9983 0.0000 0.0000
Mg1 Mg 0.9767 0.5000 0.0000
Mg2 Mg 0.5089 0.0000 0.0000
Mg3 Mg 0.0035 0.2491 0.5000
Mg4 Mg 0.0035 0.7509 0.5000
Mg5 Mg 0.5072 0.2446 0.5000
Mg6 Mg 0.5072 0.7554 0.5000
Mg7 Mg 0.2525 0.0000 0.5000
Mg8 Mg 0.2432 0.5000 0.5000
Mg9 Mg 0.7590 0.0000 0.5000
Mg10 Mg 0.7395 0.5000 0.5000
Mg11 Mg 0.2524 0.2168 0.0000
Mg12 Mg 0.2524 0.7832 0.0000
Mg13 Mg 0.7437 0.2513 0.0000
Mg14 Mg 0.7437 0.7487 0.0000
O1 O 0.2630 0.0000 0.0000
O2 O 0.7445 0.0000 0.0000
O3 O 0.7501 0.5000 0.0000
O4 O 0.2565 0.2626 0.5000
O5 O 0.2565 0.7374 0.5000
O6 O 0.7561 0.2505 0.5000
O7 O 0.7561 0.7495 0.5000
O8 O 0.0110 0.0000 0.5000
O9 O 0.0096 0.5000 0.5000
O10 O 0.4997 0.0000 0.5000
O11 O 0.5032 0.5000 0.5000
O12 O 0.0224 0.2766 0.0000
O13 O 0.0224 0.7234 0.0000
O14 O 0.4987 0.2294 0.0000
O15 O 0.4987 0.7706 0.0000
```

Results
Space group ... Pmm2 (25)
E (MP2020) ... -5.87 eV/atom
Uncorrected energy ... -0.2034 hartree per atom
Magnetic moment ... 0.00 μB per cell
Energy of formation from the pure elements ... -2677 meV/atom



[6]
Entry from Materials Project: a relaxed GaH8N2OF5 crystal (PBE-GGA).

```
data_GaH8N2OF5
_chemical_formula_sum 'Ga8 H64 N16 O8 F40'
_cell_length_a 9.3443
_cell_length_b 11.1331
_cell_length_c 11.2845
_cell_angle_alpha 90.00
_cell_angle_beta 90.00
_cell_angle_gamma 90.00
_symmetry_space_group_name_H-M 'P 1'
_symmetry_Int_Tables_number 1
loop_
_symmetry_equiv_pos_as_xyz
'x,y,z'
loop_
_atom_site_label
_atom_site_type_symbol
_atom_site_fract_x
_atom_site_fract_y
_atom_site_fract_z
Ga1 Ga 0.7193 0.1134 0.9386
Ga2 Ga 0.2193 0.3866 0.0614
Ga3 Ga 0.2807 0.6134 0.5614
Ga4 Ga 0.7807 0.8866 0.4386
Ga5 Ga 0.2807 0.8866 0.0614
Ga6 Ga 0.7807 0.6134 0.9386
Ga7 Ga 0.7193 0.3866 0.4386
Ga8 Ga 0.2193 0.1134 0.5614
H1 H 0.4968 0.2388 0.8032
H2 H 0.9968 0.2612 0.1968
H3 H 0.5032 0.7388 0.6968
H4 H 0.0032 0.7612 0.3032
H5 H 0.5032 0.7612 0.1968
H6 H 0.0032 0.7388 0.8032
H7 H 0.4968 0.2612 0.3032
H8 H 0.9968 0.2388 0.6968
H9 H 0.5511 0.3141 0.6781
H10 H 0.0511 0.1859 0.3219
H11 H 0.4489 0.8141 0.8219
H12 H 0.9489 0.6859 0.1781
H13 H 0.4489 0.6859 0.3219
H14 H 0.9489 0.8141 0.6781
H15 H 0.5511 0.1859 0.1781
H16 H 0.0511 0.3141 0.8219
H17 H 0.3694 0.2961 0.7087
H18 H 0.8694 0.2039 0.2913
H19 H 0.6306 0.7961 0.7913
H20 H 0.1306 0.7039 0.2087
H21 H 0.6306 0.7039 0.2913
H22 H 0.1306 0.7961 0.7087
H23 H 0.3694 0.2039 0.2087
H24 H 0.8694 0.2961 0.7913
H25 H 0.3880 0.4760 0.7816
H26 H 0.8880 0.0240 0.2184
H27 H 0.6120 0.9760 0.7184
H28 H 0.1120 0.5240 0.2816
H29 H 0.6120 0.5240 0.2184
H30 H 0.1120 0.9760 0.7816
H31 H 0.3880 0.0240 0.2816
H32 H 0.8880 0.4760 0.7184
H33 H 0.5710 0.4662 0.8019
H34 H 0.0710 0.0338 0.1981
H35 H 0.4290 0.9662 0.6981
H36 H 0.9290 0.5338 0.3019
H37 H 0.4290 0.5338 0.1981
H38 H 0.9290 0.9662 0.8019
H39 H 0.5710 0.0338 0.3019
H40 H 0.0710 0.4662 0.6981
H41 H 0.4532 0.4032 0.9058
H42 H 0.9532 0.0968 0.0942
H43 H 0.5468 0.9032 0.5942
H44 H 0.0468 0.5968 0.4058
H45 H 0.5468 0.5968 0.0942
H46 H 0.0468 0.9032 0.9058
H47 H 0.4532 0.0968 0.4058
H48 H 0.9532 0.4032 0.5942
H49 H 0.7490 0.8827 0.9682
H50 H 0.2490 0.6173 0.0319
H51 H 0.2510 0.3827 0.5318
H52 H 0.7510 0.1173 0.4682
H53 H 0.2510 0.1173 0.0319
H54 H 0.7510 0.3827 0.9682
H55 H 0.7490 0.6173 0.4682
H56 H 0.2490 0.8827 0.5318
H57 H 0.6294 0.9288 0.0602
H58 H 0.1294 0.5712 0.9398
H59 H 0.3706 0.4288 0.4398
H60 H 0.8706 0.0712 0.5602
H61 H 0.3706 0.0712 0.9398
H62 H 0.8706 0.4288 0.0602
H63 H 0.6294 0.5712 0.5602
H64 H 0.1294 0.9288 0.4398
N1 N 0.4716 0.3105 0.7467
N2 N 0.9716 0.1895 0.2533
N3 N 0.5284 0.8105 0.7533
N4 N 0.0284 0.6895 0.2467
N5 N 0.5284 0.6895 0.2533
N6 N 0.0284 0.8105 0.7467
N7 N 0.4716 0.1895 0.2467
N8 N 0.9716 0.3105 0.7533
N9 N 0.4719 0.4219 0.8132
N10 N 0.9719 0.0781 0.1868
N11 N 0.5281 0.9219 0.6868
N12 N 0.0281 0.5781 0.3132
N13 N 0.5281 0.5781 0.1868
N14 N 0.0281 0.9219 0.8132
N15 N 0.4719 0.0781 0.3132
N16 N 0.9719 0.4219 0.6868
O1 O 0.7197 0.9519 0.0185
O2 O 0.2197 0.5481 0.9815
O3 O 0.2803 0.4519 0.4815
O4 O 0.7803 0.0481 0.5185
O5 O 0.2803 0.0481 0.9815
O6 O 0.7803 0.4519 0.0185
O7 O 0.7197 0.5481 0.5185
O8 O 0.2197 0.9519 0.4815
F1 F 0.7255 0.2740 0.8693
F2 F 0.2255 0.2260 0.1307
F3 F 0.2745 0.7740 0.6307
F4 F 0.7745 0.7260 0.3693
F5 F 0.2745 0.7260 0.1307
F6 F 0.7745 0.7740 0.8693
F7 F 0.7255 0.2260 0.3693
F8 F 0.2255 0.2740 0.6307
F9 F 0.5221 0.1083 0.8850
F10 F 0.0221 0.3917 0.1150
F11 F 0.4779 0.6083 0.6150
F12 F 0.9779 0.8917 0.3850
F13 F 0.4779 0.8917 0.1150
F14 F 0.9779 0.6083 0.8850
F15 F 0.5221 0.3917 0.3850
F16 F 0.0221 0.1083 0.6150
F17 F 0.7666 0.0333 0.7918
F18 F 0.2666 0.4667 0.2082
F19 F 0.2334 0.5333 0.7082
F20 F 0.7334 0.9667 0.2918
F21 F 0.2334 0.9667 0.2082
F22 F 0.7334 0.5333 0.7918
F23 F 0.7666 0.4667 0.2918
F24 F 0.2666 0.0333 0.7082
F25 F 0.9203 0.1272 0.9675
F26 F 0.4203 0.3728 0.0325
F27 F 0.0797 0.6272 0.5325
F28 F 0.5797 0.8728 0.4675
F29 F 0.0797 0.8728 0.0325
F30 F 0.5797 0.6272 0.9675
F31 F 0.9203 0.3728 0.4675
F32 F 0.4203 0.1272 0.5325
F33 F 0.6743 0.1777 0.0898
F34 F 0.1743 0.3223 0.9102
F35 F 0.3257 0.6777 0.4102
F36 F 0.8257 0.8223 0.5898
F37 F 0.3257 0.8223 0.9102
F38 F 0.8257 0.6777 0.0898
F39 F 0.6743 0.3223 0.5898
F40 F 0.1743 0.1777 0.4102
```

Results
Space group ... Pbca (61)
E (MP2020) ... -5.09 eV/atom
Uncorrected energy ... -0.1807 hartree per atom
Magnetic moment ... 0.00 μB per cell
Energy of formation from the pure elements ... -1483 meV/atom



[7]
Entry from Materials Project: a relaxed NaH5S2O9 crystal (PBE-GGA).

```
data_NaH5S2O9
_chemical_formula_sum 'Na4 H20 S8 O36'
_cell_length_a 14.0332
_cell_length_b 7.5021
_cell_length_c 9.4067
_cell_angle_alpha 76.49
_cell_angle_beta 90.00
_cell_angle_gamma 90.00
_symmetry_space_group_name_H-M 'P 1'
_symmetry_Int_Tables_number 1
loop_
_symmetry_equiv_pos_as_xyz
'x,y,z'
loop_
_atom_site_label
_atom_site_type_symbol
_atom_site_fract_x
_atom_site_fract_y
_atom_site_fract_z
Na1 Na 0.0780 0.2143 0.6958
Na2 Na 0.5780 0.7857 0.8042
Na3 Na 0.9220 0.7857 0.3042
Na4 Na 0.4220 0.2143 0.1958
H1 H 0.4154 0.8010 0.2145
H2 H 0.9154 0.1990 0.2855
H3 H 0.5846 0.1990 0.7855
H4 H 0.0846 0.8010 0.7145
H5 H 0.8493 0.1298 0.7469
H6 H 0.3493 0.8702 0.7531
H7 H 0.1507 0.8702 0.2531
H8 H 0.6507 0.1298 0.2469
H9 H 0.6693 0.4459 0.9635
H10 H 0.1693 0.5541 0.5365
H11 H 0.3307 0.5541 0.0365
H12 H 0.8307 0.4459 0.4635
H13 H 0.8912 0.5623 0.7539
H14 H 0.3912 0.4377 0.7461
H15 H 0.1088 0.4377 0.2461
H16 H 0.6088 0.5623 0.2539
H17 H 0.7537 0.6873 0.4996
H18 H 0.2537 0.3127 0.0004
H19 H 0.2463 0.3127 0.5004
H20 H 0.7463 0.6873 0.9996
S1 S 0.0260 0.6870 0.6533
S2 S 0.5260 0.3130 0.8467
S3 S 0.9740 0.3130 0.3467
S4 S 0.4740 0.6870 0.1533
S5 S 0.7044 0.9815 0.4546
S6 S 0.2044 0.0185 0.0454
S7 S 0.2956 0.0185 0.5454
S8 S 0.7956 0.9815 0.9546
O1 O 0.0135 0.7962 0.4997
O2 O 0.5135 0.2038 0.0003
O3 O 0.9865 0.2038 0.5003
O4 O 0.4865 0.7962 0.9997
O5 O 0.8375 0.4716 0.7793
O6 O 0.3375 0.5284 0.7207
O7 O 0.1625 0.5284 0.2207
O8 O 0.6625 0.4716 0.2793
O9 O 0.0939 0.5249 0.6619
O10 O 0.5939 0.4751 0.8381
O11 O 0.9061 0.4751 0.3381
O12 O 0.4061 0.5249 0.1619
O13 O 0.0143 0.4199 0.0184
O14 O 0.5143 0.5801 0.4816
O15 O 0.9857 0.5801 0.9816
O16 O 0.4857 0.4199 0.5184
O17 O 0.6391 0.0031 0.3078
O18 O 0.1391 0.9969 0.1922
O19 O 0.3609 0.9969 0.6922
O20 O 0.8609 0.0031 0.8078
O21 O 0.6399 0.9080 0.5770
O22 O 0.1399 0.0920 0.9230
O23 O 0.3601 0.0920 0.4230
O24 O 0.8601 0.9080 0.0770
O25 O 0.7704 0.8092 0.4343
O26 O 0.2704 0.1908 0.0657
O27 O 0.2296 0.1908 0.5657
O28 O 0.7296 0.8092 0.9343
O29 O 0.7170 0.4350 0.0495
O30 O 0.2170 0.5650 0.4505
O31 O 0.2830 0.5650 0.9505
O32 O 0.7830 0.4350 0.5495
O33 O 0.1503 0.6331 0.3277
O34 O 0.6503 0.3669 0.1723
O35 O 0.8497 0.3669 0.6723
O36 O 0.3497 0.6331 0.8277
```

Results
Space group ... P2_1/c (14)
E (MP2020) ... -5.29 eV/atom
Uncorrected energy ... -0.1811 hartree per atom
Magnetic moment ... 4.00 μB per cell
Energy of formation from the pure elements ... -1111 meV/atom